VASP calculation (PBE) on a relaxed structure of H2Os3C10O10.

Cell: 8.6800 9.2061 11.9673 Å, 91.53 98.86 117.33°
Sites, in units of the cell vectors:
H1 0.0057 0.1302 0.3089
H2 0.0242 0.0599 0.1197
H3 0.9758 0.9401 0.8803
H4 0.9943 0.8698 0.6911
Os1 0.0235 0.9511 0.2487
Os2 0.1145 0.2652 0.2026
Os3 0.3919 0.1862 0.2887
Os4 0.6081 0.8138 0.7113
Os5 0.8855 0.7348 0.7974
Os6 0.9765 0.0489 0.7513
C1 0.0526 0.8683 0.3900
C2 0.0631 0.7866 0.1792
C3 0.1019 0.7316 0.8574
C4 0.2084 0.4610 0.3039
C5 0.2307 0.1676 0.7844
C6 0.2417 0.3881 0.0920
C7 0.3539 0.2486 0.4353
C8 0.3709 0.1198 0.1284
C9 0.3901 0.6159 0.7038
C10 0.4853 0.0442 0.3448
C11 0.5147 0.9558 0.6552
C12 0.6099 0.3841 0.2962
C13 0.6291 0.8802 0.8716
C14 0.6461 0.7514 0.5647
C15 0.7583 0.6119 0.9080
C16 0.7693 0.8324 0.2156
C17 0.7916 0.5390 0.6961
C18 0.8981 0.2684 0.1426
C19 0.9369 0.2134 0.8208
C20 0.9474 0.1317 0.6100
O1 0.0726 0.8202 0.4769
O2 0.0894 0.6882 0.1350
O3 0.2289 0.7237 0.8954
O4 0.2529 0.5011 0.6982
O5 0.2599 0.5768 0.3688
O6 0.3155 0.4576 0.0216
O7 0.3323 0.2882 0.5220
O8 0.3570 0.0792 0.0331
O9 0.3834 0.2434 0.8017
O10 0.4563 0.0409 0.6215
O11 0.5437 0.9591 0.3785
O12 0.6166 0.7566 0.1983
O13 0.6430 0.9208 0.9669
O14 0.6677 0.7118 0.4780
O15 0.6845 0.5424 0.9784
O16 0.7401 0.4232 0.6312
O17 0.7471 0.4989 0.3018
O18 0.7711 0.2763 0.1046
O19 0.9106 0.3118 0.8650
O20 0.9274 0.1798 0.5231

Computed properties:
Its symmetry is P-1. The corrected total energy (MP2020 scheme) is -8.173 eV/atom. Its final energy is -394.89 eV per cell.

***

VASP calculation (PBE) on a relaxed structure of H6Os5PtC16O16.

Cell: 11.9442 15.6895 16.7743 Å, 90.00 112.33 90.00°
Sites, in units of the cell vectors:
H1 0.0231 0.0617 0.1638
H2 0.0231 0.4383 0.6638
H3 0.0729 0.1998 0.2491
H4 0.0729 0.3002 0.7491
H5 0.1128 0.0605 0.3356
H6 0.1128 0.4395 0.8356
H7 0.3391 0.0514 0.1656
H8 0.3391 0.4486 0.6656
H9 0.4310 0.2049 0.2771
H10 0.4310 0.2951 0.7771
H11 0.4688 0.0758 0.3535
H12 0.4688 0.4242 0.8535
H13 0.5312 0.5758 0.1465
H14 0.5312 0.9242 0.6465
H15 0.5690 0.7049 0.2229
H16 0.5690 0.7951 0.7229
H17 0.6609 0.5514 0.3344
H18 0.6609 0.9486 0.8344
H19 0.8872 0.5605 0.1644
H20 0.8872 0.9395 0.6644
H21 0.9271 0.6998 0.2509
H22 0.9271 0.8002 0.7509
H23 0.9769 0.5617 0.3362
H24 0.9769 0.9383 0.8362
Os1 0.1011 0.1613 0.1556
Os2 0.1011 0.3387 0.6556
Os3 0.1428 0.0029 0.2483
Os4 0.1428 0.4971 0.7483
Os5 0.1918 0.1610 0.3461
Os6 0.1918 0.3390 0.8461
Os7 0.4296 0.6487 0.1662
Os8 0.4296 0.8513 0.6662
Os9 0.4942 0.0502 0.1736
Os10 0.4942 0.4498 0.6736
Os11 0.5058 0.5502 0.3264
Os12 0.5058 0.9498 0.8264
Os13 0.5704 0.1487 0.3338
Os14 0.5704 0.3513 0.8338
Os15 0.8082 0.6610 0.1539
Os16 0.8082 0.8390 0.6539
Os17 0.8572 0.5029 0.2517
Os18 0.8572 0.9971 0.7517
Os19 0.8989 0.6613 0.3444
Os20 0.8989 0.8387 0.8444
Pt1 0.3300 0.1086 0.2571
Pt2 0.3300 0.3914 0.7571
Pt3 0.6700 0.6086 0.2429
Pt4 0.6700 0.8914 0.7429
C1 0.0105 0.5651 0.7489
C2 0.0105 0.9349 0.2489
C3 0.0586 0.7061 0.4052
C4 0.0586 0.7939 0.9052
C5 0.0787 0.1933 0.3969
C6 0.0787 0.3067 0.8969
C7 0.1187 0.1193 0.0545
C8 0.1187 0.3807 0.5545
C9 0.1628 0.5588 0.6572
C10 0.1628 0.9412 0.1572
C11 0.1737 0.2325 0.6459
C12 0.1737 0.2675 0.1459
C13 0.2637 0.5613 0.8370
C14 0.2637 0.9387 0.3370
C15 0.2715 0.2313 0.8619
C16 0.2715 0.2687 0.3619
C17 0.2935 0.5781 0.1033
C18 0.2935 0.9219 0.6033
C19 0.3121 0.1154 0.4490
C20 0.3121 0.3846 0.9490
C21 0.3334 0.7217 0.2062
C22 0.3334 0.7783 0.7062
C23 0.3379 0.5533 0.3130
C24 0.3379 0.9467 0.8130
C25 0.4209 0.5124 0.5680
C26 0.4213 0.7150 0.0694
C27 0.4213 0.7850 0.5694
C28 0.4209 0.9876 0.0680
C29 0.4544 0.1623 0.1191
C30 0.4544 0.3377 0.6191
C31 0.4843 0.0489 0.7512
C32 0.4843 0.4511 0.2512
C33 0.5157 0.5489 0.7488
C34 0.5157 0.9511 0.2488
C35 0.5456 0.6623 0.3809
C36 0.5456 0.8377 0.8809
C37 0.5791 0.0124 0.9320
C38 0.5787 0.2150 0.4306
C39 0.5787 0.2850 0.9306
C40 0.5791 0.4876 0.4320
C41 0.6621 0.0533 0.1870
C42 0.6621 0.4467 0.6870
C43 0.6666 0.2217 0.2938
C44 0.6666 0.2783 0.7938
C45 0.6879 0.6154 0.0510
C46 0.6879 0.8846 0.5510
C47 0.7065 0.0781 0.3967
C48 0.7065 0.4219 0.8967
C49 0.7285 0.7313 0.6381
C50 0.7285 0.7687 0.1381
C51 0.7363 0.0613 0.6630
C52 0.7363 0.4387 0.1630
C53 0.8263 0.7325 0.8541
C54 0.8263 0.7675 0.3541
C55 0.8372 0.0588 0.8428
C56 0.8372 0.4412 0.3428
C57 0.8813 0.6193 0.4455
C58 0.8813 0.8807 0.9455
C59 0.9213 0.6933 0.1031
C60 0.9213 0.8067 0.6031
C61 0.9414 0.2061 0.0948
C62 0.9414 0.2939 0.5948
C63 0.9895 0.0651 0.7511
C64 0.9895 0.4349 0.2511
O1 0.0104 0.2134 0.4276
O2 0.0104 0.2866 0.9276
O3 0.0684 0.1080 0.7501
O4 0.0684 0.3920 0.2501
O5 0.1304 0.0935 0.9931
O6 0.1304 0.4065 0.4931
O7 0.1518 0.7377 0.4421
O8 0.1518 0.7623 0.9421
O9 0.1739 0.5944 0.6000
O10 0.1739 0.9056 0.1000
O11 0.2108 0.5362 0.0630
O12 0.2108 0.9638 0.5630
O13 0.2175 0.1688 0.6380
O14 0.2175 0.3312 0.1380
O15 0.2371 0.5552 0.3054
O16 0.2371 0.9448 0.8054
O17 0.2727 0.7367 0.7315
O18 0.2727 0.7633 0.2315
O19 0.3203 0.1659 0.8727
O20 0.3203 0.3341 0.3727
O21 0.3368 0.5991 0.8912
O22 0.3368 0.9009 0.3912
O23 0.3743 0.5495 0.5038
O24 0.3743 0.9505 0.0038
O25 0.3848 0.0857 0.5099
O26 0.3848 0.4143 0.0099
O27 0.4161 0.7431 0.5110
O28 0.4161 0.7569 0.0110
O29 0.4244 0.2277 0.0859
O30 0.4244 0.2723 0.5859
O31 0.4767 0.1083 0.7086
O32 0.4767 0.3917 0.2086
O33 0.5233 0.6083 0.7914
O34 0.5233 0.8917 0.2914
O35 0.5756 0.7277 0.4141
O36 0.5756 0.7723 0.9141
O37 0.5839 0.2431 0.9890
O38 0.5839 0.2569 0.4890
O39 0.6152 0.5857 0.9901
O40 0.6152 0.9143 0.4901
O41 0.6257 0.0495 0.9962
O42 0.6257 0.4505 0.4962
O43 0.6632 0.0991 0.6088
O44 0.6632 0.4009 0.1088
O45 0.6797 0.6659 0.6273
O46 0.6797 0.8341 0.1273
O47 0.7273 0.2367 0.7685
O48 0.7273 0.2633 0.2685
O49 0.7629 0.0552 0.1946
O50 0.7629 0.4448 0.6946
O51 0.7825 0.6688 0.8620
O52 0.7825 0.8312 0.3620
O53 0.7892 0.0362 0.4370
O54 0.7892 0.4638 0.9370
O55 0.8261 0.0944 0.9000
O56 0.8261 0.4056 0.4000
O57 0.8482 0.2377 0.0579
O58 0.8482 0.2623 0.5579
O59 0.8696 0.5935 0.5069
O60 0.8696 0.9065 0.0069
O61 0.9316 0.6080 0.7499
O62 0.9316 0.8920 0.2499
O63 0.9896 0.7134 0.0724
O64 0.9896 0.7866 0.5724

Computed properties:
Its symmetry is P2_1/c. The corrected total energy (MP2020 scheme) is -7.845 eV/atom. Its final energy is -1336.82 eV per cell.

***

VASP calculation (PBE) on a relaxed structure of H6Os5Pt2C17O17.

Cell: 9.7015 16.4107 21.6516 Å, 90.00 115.43 90.00°
Sites, in units of the cell vectors:
H1 0.0079 0.1313 0.2387
H2 0.0079 0.3687 0.7387
H3 0.1134 0.0473 0.6306
H4 0.1134 0.4527 0.1306
H5 0.1200 0.0629 0.4194
H6 0.1200 0.4371 0.9194
H7 0.1458 0.5950 0.0868
H8 0.1458 0.9050 0.5868
H9 0.1531 0.7142 0.3402
H10 0.1531 0.7858 0.8402
H11 0.2986 0.6548 0.2763
H12 0.2986 0.8452 0.7763
H13 0.7014 0.1548 0.2237
H14 0.7014 0.3452 0.7237
H15 0.8469 0.2142 0.1598
H16 0.8469 0.2858 0.6598
H17 0.8542 0.0950 0.4132
H18 0.8542 0.4050 0.9132
H19 0.8800 0.5629 0.0806
H20 0.8800 0.9371 0.5806
H21 0.8866 0.5473 0.8694
H22 0.8866 0.9527 0.3694
H23 0.9921 0.6313 0.2613
H24 0.9921 0.8687 0.7613
Os1 0.0110 0.6480 0.1114
Os2 0.0110 0.8520 0.6114
Os3 0.0423 0.6318 0.3518
Os4 0.0423 0.8682 0.8518
Os5 0.0484 0.5145 0.8527
Os6 0.0484 0.9855 0.3527
Os7 0.2580 0.5310 0.1590
Os8 0.2580 0.9690 0.6590
Os9 0.3494 0.6825 0.3659
Os10 0.3494 0.8175 0.8659
Os11 0.6506 0.1825 0.1341
Os12 0.6506 0.3175 0.6341
Os13 0.7420 0.0310 0.3410
Os14 0.7420 0.4690 0.8410
Os15 0.9516 0.0145 0.6473
Os16 0.9516 0.4855 0.1473
Os17 0.9577 0.1318 0.1482
Os18 0.9577 0.3682 0.6482
Os19 0.9890 0.1480 0.3886
Os20 0.9890 0.3520 0.8886
Pt1 0.1400 0.5923 0.2444
Pt2 0.1400 0.9077 0.7444
Pt3 0.2849 0.5272 0.3904
Pt4 0.2849 0.9728 0.8904
Pt5 0.7151 0.0272 0.1096
Pt6 0.7151 0.4728 0.6096
Pt7 0.8600 0.0923 0.2556
Pt8 0.8600 0.4077 0.7556
C1 0.0101 0.0911 0.7204
C2 0.0101 0.4089 0.2204
C3 0.0788 0.1839 0.4810
C4 0.0788 0.3161 0.9810
C5 0.0859 0.6418 0.4468
C6 0.0859 0.8582 0.9468
C7 0.0959 0.0441 0.1616
C8 0.0959 0.4559 0.6616
C9 0.1140 0.2140 0.1771
C10 0.1140 0.2860 0.6771
C11 0.1404 0.7419 0.1408
C12 0.1404 0.7581 0.6408
C13 0.1444 0.1987 0.3697
C14 0.1444 0.3013 0.8697
C15 0.1532 0.5913 0.9243
C16 0.1532 0.9087 0.4243
C17 0.1926 0.0637 0.9134
C18 0.1926 0.4363 0.4134
C19 0.2229 0.0174 0.3397
C20 0.2229 0.4826 0.8397
C21 0.3218 0.0164 0.5947
C22 0.3218 0.4836 0.0947
C23 0.3651 0.7077 0.8393
C24 0.3651 0.7923 0.3393
C25 0.3729 0.0431 0.7310
C26 0.3729 0.4569 0.2310
C27 0.4144 0.6120 0.1898
C28 0.4144 0.8880 0.6898
C29 0.4264 0.7021 0.4624
C30 0.4264 0.7979 0.9624
C31 0.4561 0.1516 0.1274
C32 0.4561 0.3484 0.6274
C33 0.4859 0.0124 0.9125
C34 0.4859 0.4876 0.4125
C35 0.5141 0.5124 0.5875
C36 0.5141 0.9876 0.0875
C37 0.5439 0.6516 0.3726
C38 0.5439 0.8484 0.8726
C39 0.5736 0.2021 0.0376
C40 0.5736 0.2979 0.5376
C41 0.5856 0.1120 0.3102
C42 0.5856 0.3880 0.8102
C43 0.6271 0.5431 0.7690
C44 0.6271 0.9569 0.2690
C45 0.6349 0.2077 0.6607
C46 0.6349 0.2923 0.1607
C47 0.6782 0.5164 0.9053
C48 0.6782 0.9836 0.4053
C49 0.7771 0.5174 0.1603
C50 0.7771 0.9826 0.6603
C51 0.8074 0.5637 0.5866
C52 0.8074 0.9363 0.0866
C53 0.8468 0.0913 0.5757
C54 0.8468 0.4087 0.0757
C55 0.8556 0.6987 0.1303
C56 0.8556 0.8013 0.6303
C57 0.8596 0.2419 0.3592
C58 0.8596 0.2581 0.8592
C59 0.8860 0.7140 0.3229
C60 0.8860 0.7860 0.8229
C61 0.9041 0.5441 0.3384
C62 0.9041 0.9559 0.8384
C63 0.9141 0.1418 0.0532
C64 0.9141 0.3582 0.5532
C65 0.9212 0.6839 0.0190
C66 0.9212 0.8161 0.5190
C67 0.9899 0.5911 0.7796
C68 0.9899 0.9089 0.2796
O1 0.0397 0.1356 0.7660
O2 0.0397 0.3644 0.2660
O3 0.1046 0.6486 0.5034
O4 0.1046 0.8514 0.0034
O5 0.1352 0.2067 0.5374
O6 0.1352 0.2933 0.0374
O7 0.1519 0.1177 0.9358
O8 0.1519 0.3823 0.4358
O9 0.1797 0.5102 0.6720
O10 0.1797 0.9898 0.1720
O11 0.2068 0.2355 0.6942
O12 0.2068 0.2645 0.1942
O13 0.2173 0.6382 0.9674
O14 0.2173 0.8618 0.4674
O15 0.2184 0.7017 0.6614
O16 0.2184 0.7983 0.1614
O17 0.2382 0.2258 0.3564
O18 0.2382 0.2742 0.8564
O19 0.3287 0.0411 0.3335
O20 0.3287 0.4589 0.8335
O21 0.3400 0.1310 0.1258
O22 0.3400 0.3690 0.6258
O23 0.3625 0.0434 0.5557
O24 0.3625 0.4566 0.0557
O25 0.3769 0.6418 0.8224
O26 0.3769 0.8582 0.3224
O27 0.3922 0.5366 0.5734
O28 0.3922 0.9634 0.0734
O29 0.4377 0.0897 0.7738
O30 0.4377 0.4103 0.2738
O31 0.4815 0.7123 0.5213
O32 0.4815 0.7877 0.0213
O33 0.4935 0.1625 0.2913
O34 0.4935 0.3375 0.7913
O35 0.5065 0.6625 0.2087
O36 0.5065 0.8375 0.7087
O37 0.5185 0.2123 0.9787
O38 0.5185 0.2877 0.4787
O39 0.5623 0.5897 0.7262
O40 0.5623 0.9103 0.2262
O41 0.6078 0.0366 0.9266
O42 0.6078 0.4634 0.4266
O43 0.6231 0.1418 0.6776
O44 0.6231 0.3582 0.1776
O45 0.6375 0.5434 0.9443
O46 0.6375 0.9566 0.4443
O47 0.6600 0.6310 0.3742
O48 0.6600 0.8690 0.8742
O49 0.6713 0.5411 0.1665
O50 0.6713 0.9589 0.6665
O51 0.7618 0.7258 0.1436
O52 0.7618 0.7742 0.6437
O53 0.7816 0.2017 0.8386
O54 0.7816 0.2983 0.3386
O55 0.7827 0.1382 0.5326
O56 0.7827 0.3618 0.0326
O57 0.7932 0.7355 0.8058
O58 0.7932 0.7645 0.3058
O59 0.8203 0.0102 0.8280
O60 0.8203 0.4898 0.3280
O61 0.8481 0.6177 0.5642
O62 0.8481 0.8823 0.0642
O63 0.8648 0.7067 0.9626
O64 0.8648 0.7933 0.4626
O65 0.8954 0.1486 0.9966
O66 0.8954 0.3514 0.4966
O67 0.9603 0.6356 0.7340
O68 0.9603 0.8644 0.2340

Computed properties:
Its symmetry is P2_1/c. The corrected total energy (MP2020 scheme) is -7.814 eV/atom. Its final energy is -1422.28 eV per cell.